Entry 1:
VASP calculation (GGA-PBE) on a relaxed structure of Mg6CuC.

Cell lengths 6.2436, 6.2436, 3.7071 Å; angles 90.00, 90.00, 95.93 degrees
Last column: nearest neighbours and their distance in Å.
Fractional coordinates of all 8 atoms:
Mg 0.3905 0.1005 0.5000  1 C 2.30
Mg 0.8995 0.6095 0.5000  1 C 2.30
Mg 0.2119 0.4429 0.0000  2 C 2.63, 1 Mg 2.89
Mg 0.5571 0.7881 0.0000  2 C 2.63, 1 Mg 2.89
Mg 0.6965 0.3035 0.0000  2 Cu 2.57, 4 Mg 2.86
Mg 0.0987 0.9013 0.0000  2 C 2.36
Cu 0.8886 0.1114 0.5000  4 Mg 2.57-2.69
C 0.2571 0.7429 0.5000  4 Mg 2.30-2.36

Values from the calculation:
Distance to the lowest polymorph of the same formula: 0.066 eV per atom
Electronic total energy: -2.5570 eV/atom
E_form: 0.31 eV/atom

---

Entry 2:
VASP calculation (GGA-PBE) on a relaxed structure of Mg6CuC.

Cell lengths 3.5179, 8.1719, 10.0504 Å; angles 90.00, 90.00, 90.00 degrees
Last column: nearest neighbours and their distance in Å.
Fractional coordinates of all 16 atoms:
Mg 0.0000 0.6714 0.1237  2 C 2.47
Mg 0.0000 0.3286 0.1237  2 C 2.47
Mg 0.0000 0.5000 0.8801  2 C 2.26
Mg 0.5000 0.7796 0.8853  2 Cu 2.59, 1 C 2.66, 2 Mg 2.88
Mg 0.5000 0.2204 0.8853  2 Cu 2.59, 1 C 2.66, 2 Mg 2.88
Mg 0.5000 0.5000 0.6360  2 Cu 2.61
Mg 0.0000 0.1714 0.6237  2 C 2.47
Mg 0.0000 0.8286 0.6237  2 C 2.47
Mg 0.0000 0.0000 0.3801  2 C 2.26
Mg 0.5000 0.2796 0.3853  2 Cu 2.59, 1 C 2.66, 2 Mg 2.88
Mg 0.5000 0.7204 0.3853  2 Cu 2.59, 1 C 2.66, 2 Mg 2.88
Mg 0.5000 0.0000 0.1360  2 Cu 2.61
Cu 0.0000 0.5000 0.4445  6 Mg 2.59-2.61
Cu 0.0000 0.0000 0.9445  6 Mg 2.59-2.61
C 0.5000 0.5000 0.0215  6 Mg 2.26-2.47
C 0.5000 0.0000 0.5215  6 Mg 2.26-2.47

Values from the calculation:
Distance to the lowest polymorph of the same formula: 0.000 eV per atom
Electronic total energy: -2.6229 eV/atom
E_form: 0.24 eV/atom

---

Entry 3:
VASP calculation (GGA-PBE) on a relaxed structure of CuC4N4O8.

Cell lengths 10.1624, 7.5340, 11.1082 Å; angles 81.98, 90.00, 90.00 degrees
Last column: nearest neighbours and their distance in Å.
Fractional coordinates of all 34 atoms:
Cu 0.5000 0.0000 0.5000  2 O 1.74
Cu 0.0000 0.0000 0.0000  2 O 1.74
C 0.8151 0.0656 0.6919  2 O 1.18
C 0.3151 0.9344 0.8081  2 O 1.18
C 0.1849 0.9344 0.3081  2 O 1.18
C 0.6849 0.0656 0.1919  2 O 1.18
C 0.5268 0.3870 0.8340  1 O 1.20
C 0.0268 0.6130 0.6660  1 O 1.20
C 0.4732 0.6130 0.1660  1 O 1.20
C 0.9732 0.3870 0.3340  1 O 1.20
N 0.6429 0.3407 0.8982  1 N 1.32, 1 C 1.40
N 0.1429 0.6593 0.6018  1 N 1.32, 1 C 1.40
N 0.3571 0.6593 0.1018  1 N 1.32, 1 C 1.40
N 0.8571 0.3407 0.3982  1 N 1.32, 1 C 1.40
N 0.5300 0.2812 0.9480  1 N 1.32, 1 C 1.40
N 0.0300 0.7188 0.5520  1 N 1.32, 1 C 1.40
N 0.4700 0.7188 0.0520  1 N 1.32, 1 C 1.40
N 0.9700 0.2812 0.4480  1 N 1.32, 1 C 1.40
O 0.7194 0.0944 0.6331  1 C 1.18
O 0.2194 0.9056 0.8669  1 C 1.18
O 0.2806 0.9056 0.3669  1 C 1.18
O 0.7806 0.0944 0.1331  1 C 1.18
O 0.9111 0.0373 0.7507  1 C 1.18
O 0.4111 0.9627 0.7493  1 C 1.18
O 0.0889 0.9627 0.2493  1 C 1.18
O 0.5889 0.0373 0.2507  1 C 1.18
O 0.4681 0.4610 0.7479  1 C 1.20
O 0.9681 0.5390 0.7521  1 C 1.20
O 0.5319 0.5390 0.2521  1 C 1.20
O 0.0319 0.4610 0.2479  1 C 1.20
O 0.5767 0.7912 0.5111  1 Cu 1.74
O 0.0767 0.2088 0.9889  1 Cu 1.74
O 0.4233 0.2088 0.4889  1 Cu 1.74
O 0.9233 0.7912 0.0111  1 Cu 1.74

Values from the calculation:
Electronic total energy: -6.7258 eV/atom
E_form: -0.35 eV/atom
E (MP2020): -7.0491 eV per atom